No. 1
VASP calculation (PBE+U) on a geometry-optimized Li3MnVP3O12 structure.

Lattice parameters (Å, degrees): 9.037 9.037 9.037 56.08 56.08 56.08
Atoms (fractional coordinates):
Li (0.022, 0.365, 0.614)
Li (0.206, 0.945, 0.552)
Li (0.365, 0.614, 0.022)
Li (0.552, 0.206, 0.945)
Li (0.614, 0.022, 0.365)
Li (0.945, 0.552, 0.206)
Mn (0.431, 0.431, 0.431)
Mn (0.633, 0.633, 0.633)
V (0.137, 0.137, 0.137)
V (0.935, 0.935, 0.935)
P (0.033, 0.749, 0.321)
P (0.241, 0.530, 0.830)
P (0.321, 0.033, 0.749)
P (0.530, 0.830, 0.241)
P (0.749, 0.321, 0.033)
P (0.830, 0.241, 0.530)
O (0.034, 0.139, 0.404)
O (0.074, 0.752, 0.125)
O (0.099, 0.900, 0.277)
O (0.114, 0.746, 0.800)
O (0.125, 0.074, 0.752)
O (0.139, 0.404, 0.034)
O (0.157, 0.546, 0.415)
O (0.272, 0.483, 0.676)
O (0.277, 0.099, 0.900)
O (0.404, 0.034, 0.139)
O (0.415, 0.157, 0.546)
O (0.430, 0.488, 0.838)
O (0.443, 0.821, 0.792)
O (0.483, 0.676, 0.272)
O (0.488, 0.838, 0.430)
O (0.546, 0.415, 0.157)
O (0.676, 0.272, 0.483)
O (0.746, 0.800, 0.114)
O (0.752, 0.125, 0.074)
O (0.792, 0.443, 0.821)
O (0.800, 0.114, 0.746)
O (0.821, 0.792, 0.443)
O (0.838, 0.430, 0.488)
O (0.900, 0.277, 0.099)

final energy: -7.035 eV/atom
energy of formation: -2.636 eV/atom
energy above the lowest structure with this stoichiometry: 19 meV/atom
SG: No. 146

***

No. 2
VASP calculation (PBE+U) on a geometry-optimized Li2MnVP4O14 structure.

Lattice parameters (Å, degrees): 7.055 9.610 9.642 119.46 99.46 99.36
Atoms (fractional coordinates):
Li (0.000, 0.000, 0.000)
Li (0.002, 0.503, 0.504)
Li (0.651, 0.575, 0.075)
Li (0.654, 0.076, 0.578)
Mn (0.057, 0.201, 0.839)
Mn (0.596, 0.736, 0.875)
V (0.054, 0.701, 0.340)
V (0.599, 0.237, 0.376)
P (0.237, 0.593, 0.019)
P (0.240, 0.096, 0.519)
P (0.414, 0.560, 0.483)
P (0.415, 0.055, 0.983)
P (0.805, 0.302, 0.123)
P (0.809, 0.805, 0.624)
P (0.844, 0.455, 0.773)
P (0.849, 0.954, 0.273)
O (0.077, 0.564, 0.860)
O (0.079, 0.066, 0.358)
O (0.173, 0.704, 0.171)
O (0.183, 0.210, 0.674)
O (0.214, 0.056, 0.899)
O (0.214, 0.564, 0.398)
O (0.235, 0.423, 0.998)
O (0.241, 0.928, 0.500)
O (0.411, 0.578, 0.651)
O (0.417, 0.075, 0.151)
O (0.439, 0.178, 0.512)
O (0.439, 0.678, 0.021)
O (0.475, 0.406, 0.372)
O (0.476, 0.900, 0.870)
O (0.573, 0.215, 0.011)
O (0.577, 0.720, 0.514)
O (0.717, 0.561, 0.872)
O (0.722, 0.058, 0.374)
O (0.808, 0.918, 0.095)
O (0.809, 0.420, 0.596)
O (0.818, 0.299, 0.281)
O (0.822, 0.298, 0.779)
O (0.830, 0.800, 0.781)
O (0.834, 0.796, 0.279)
O (0.842, 0.480, 0.159)
O (0.848, 0.983, 0.658)
O (0.931, 0.702, 0.516)
O (0.934, 0.203, 0.021)

final energy: -7.198 eV/atom
energy of formation: -2.653 eV/atom
energy above the lowest structure with this stoichiometry: 12 meV/atom
SG: No. 1

***

No. 3
VASP calculation (PBE+U) on a geometry-optimized Li2MnVP4O14 structure.

Lattice parameters (Å, degrees): 4.847 10.908 10.912 99.44 101.98 102.07
Atoms (fractional coordinates):
Li (0.000, 0.000, 0.000)
Li (0.002, 0.501, 0.503)
Li (0.350, 0.926, 0.428)
Li (0.354, 0.426, 0.926)
Mn (0.390, 0.772, 0.635)
Mn (0.962, 0.792, 0.155)
V (0.393, 0.272, 0.134)
V (0.963, 0.294, 0.657)
P (0.388, 0.094, 0.670)
P (0.391, 0.595, 0.172)
P (0.576, 0.508, 0.689)
P (0.577, 0.007, 0.191)
P (0.776, 0.236, 0.918)
P (0.777, 0.738, 0.423)
P (0.963, 0.256, 0.335)
P (0.965, 0.757, 0.831)
O (0.043, 0.313, 0.478)
O (0.052, 0.815, 0.974)
O (0.120, 0.644, 0.180)
O (0.126, 0.146, 0.684)
O (0.227, 0.245, 0.283)
O (0.234, 0.747, 0.780)
O (0.303, 0.951, 0.611)
O (0.309, 0.451, 0.116)
O (0.361, 0.916, 0.242)
O (0.368, 0.418, 0.744)
O (0.421, 0.576, 0.597)
O (0.427, 0.081, 0.102)
O (0.569, 0.798, 0.489)
O (0.573, 0.298, 0.984)
O (0.575, 0.168, 0.595)
O (0.578, 0.668, 0.096)
O (0.579, 0.611, 0.318)
O (0.581, 0.108, 0.816)
O (0.773, 0.109, 0.319)
O (0.774, 0.612, 0.817)
O (0.777, 0.832, 0.757)
O (0.778, 0.332, 0.261)
O (0.780, 0.940, 0.128)
O (0.786, 0.443, 0.630)
O (0.926, 0.830, 0.352)
O (0.931, 0.327, 0.846)
O (0.987, 0.684, 0.512)
O (0.990, 0.185, 0.009)

final energy: -7.198 eV/atom
energy of formation: -2.652 eV/atom
energy above the lowest structure with this stoichiometry: 12 meV/atom
SG: No. 1